[1]
DFT (PBE with a Hubbard U) results for a geometry-optimized LiVP2O8 structure.

Cell and atoms, written as POSCAR:
```
LiVP2O8
1.0
5.760 0.000 0.000
0.000 4.887 0.000
0.000 0.000 9.769
Li V P O
2 2 4 16
Direct
0.000 0.180 0.000 Li
0.000 0.820 0.500 Li
0.500 0.307 0.449 V
0.500 0.693 0.949 V
0.000 0.308 0.307 P
0.000 0.692 0.807 P
0.500 0.115 0.123 P
0.500 0.885 0.623 P
0.000 0.007 0.331 O
0.000 0.410 0.162 O
0.000 0.590 0.662 O
0.000 0.993 0.831 O
0.223 0.446 0.385 O
0.223 0.554 0.885 O
0.298 0.046 0.551 O
0.298 0.954 0.051 O
0.500 0.090 0.279 O
0.500 0.422 0.082 O
0.500 0.578 0.582 O
0.500 0.910 0.779 O
0.702 0.046 0.551 O
0.702 0.954 0.051 O
0.777 0.446 0.385 O
0.777 0.554 0.885 O
```

Computed properties:
- mass density (kg/m³) = 2993
- DFT formation energy (eV per atom) = -2.464
- polymorph energy (0 for the lowest one) (eV per atom) = 0.087
- MP2020-corrected energy (eV/atom) = -7.581
- symmetry = Pmc2_1, No. 26



[2]
DFT (PBE with a Hubbard U) results for a geometry-optimized Li2VP2O8 structure.

Cell and atoms, written as POSCAR:
```
Li2VP2O8
1.0
-3.262 -2.656 2.386
-5.404 11.678 7.740
-3.708 1.365 -6.912
Li V P O
8 4 8 32
Direct
0.421 0.241 0.044 Li
0.671 0.491 0.794 Li
0.921 0.741 0.544 Li
0.171 0.991 0.294 Li
0.637 0.132 0.391 Li
0.887 0.382 0.141 Li
0.137 0.632 0.891 Li
0.387 0.882 0.641 Li
0.255 0.749 0.242 V
0.505 0.999 0.993 V
0.755 0.249 0.742 V
0.005 0.499 0.492 V
0.509 0.356 0.413 P
0.759 0.605 0.163 P
0.010 0.856 0.913 P
0.260 0.105 0.663 P
0.986 0.143 0.086 P
0.236 0.393 0.836 P
0.486 0.643 0.586 P
0.736 0.893 0.336 P
0.901 0.165 0.258 O
0.151 0.415 0.008 O
0.401 0.665 0.758 O
0.651 0.915 0.508 O
0.697 0.432 0.529 O
0.947 0.682 0.279 O
0.197 0.932 0.029 O
0.447 0.182 0.779 O
0.802 0.067 0.968 O
0.052 0.317 0.718 O
0.302 0.567 0.468 O
0.552 0.817 0.218 O
0.581 0.330 0.236 O
0.831 0.580 0.986 O
0.081 0.830 0.736 O
0.331 0.080 0.486 O
0.549 0.271 0.514 O
0.799 0.521 0.264 O
0.049 0.771 0.014 O
0.299 0.021 0.764 O
0.192 0.391 0.395 O
0.442 0.641 0.145 O
0.692 0.891 0.895 O
0.942 0.141 0.645 O
0.308 0.110 0.104 O
0.558 0.360 0.854 O
0.808 0.610 0.604 O
0.058 0.860 0.354 O
0.956 0.228 0.986 O
0.206 0.478 0.736 O
0.456 0.728 0.486 O
0.706 0.978 0.236 O
```

Computed properties:
- mass density (kg/m³) = 3027
- DFT formation energy (eV per atom) = -2.632
- polymorph energy (0 for the lowest one) (eV per atom) = 0.027
- MP2020-corrected energy (eV/atom) = -7.502



[3]
DFT (PBE with a Hubbard U) results for a geometry-optimized LiVP4O13 structure.

Cell and atoms, written as POSCAR:
```
LiVP4O13
1.0
5.063 0.000 0.000
1.163 7.792 0.000
1.156 1.390 14.250
Li V P O
2 2 8 26
Direct
0.000 0.000 0.000 Li
0.496 0.102 0.512 Li
0.071 0.438 0.234 V
0.920 0.561 0.756 V
0.139 0.922 0.681 P
0.193 0.827 0.202 P
0.356 0.731 0.856 P
0.483 0.387 0.657 P
0.506 0.602 0.339 P
0.633 0.272 0.133 P
0.795 0.173 0.796 P
0.847 0.084 0.308 P
0.004 0.897 0.290 O
0.055 0.212 0.292 O
0.075 0.666 0.179 O
0.182 0.593 0.832 O
0.188 0.469 0.666 O
0.216 0.959 0.122 O
0.265 0.807 0.944 O
0.286 0.950 0.590 O
0.333 0.875 0.765 O
0.336 0.354 0.140 O
0.337 0.465 0.309 O
0.416 0.667 0.430 O
0.466 0.755 0.250 O
0.516 0.247 0.751 O
0.563 0.300 0.571 O
0.653 0.649 0.846 O
0.655 0.128 0.223 O
0.661 0.525 0.678 O
0.697 0.073 0.400 O
0.730 0.194 0.045 O
0.779 0.040 0.875 O
0.804 0.526 0.325 O
0.807 0.410 0.157 O
0.916 0.336 0.814 O
0.943 0.786 0.694 O
0.970 0.103 0.705 O
```

Computed properties:
- mass density (kg/m³) = 2302
- DFT formation energy (eV per atom) = -2.525
- MP2020-corrected energy (eV/atom) = -7.628
- symmetry = P1, No. 1



[4]
DFT (PBE with a Hubbard U) results for a geometry-optimized Li5V3P8O29 structure.

Cell and atoms, written as POSCAR:
```
Li5V3P8O29
1.0
9.770 0.000 0.000
4.858 8.515 0.000
0.094 0.000 14.109
Li V P O
10 6 16 58
Direct
0.000 0.000 0.000 Li
0.012 0.436 0.501 Li
0.086 0.703 0.936 Li
0.177 0.876 0.384 Li
0.204 0.323 0.888 Li
0.418 0.568 0.506 Li
0.431 0.430 0.000 Li
0.447 0.000 0.552 Li
0.792 0.739 0.387 Li
0.868 0.570 0.002 Li
0.096 0.093 0.195 V
0.096 0.228 0.695 V
0.526 0.664 0.700 V
0.534 0.227 0.195 V
0.663 0.094 0.692 V
0.664 0.659 0.188 V
0.008 0.430 0.284 P
0.011 0.970 0.783 P
0.189 0.342 0.103 P
0.190 0.891 0.601 P
0.319 0.745 0.104 P
0.322 0.347 0.603 P
0.412 0.429 0.787 P
0.419 0.570 0.286 P
0.426 0.002 0.813 P
0.434 0.990 0.312 P
0.762 0.331 0.574 P
0.765 0.325 0.071 P
0.780 0.750 0.604 P
0.791 0.888 0.100 P
0.866 0.973 0.287 P
0.873 0.575 0.787 P
0.013 0.994 0.285 O
0.017 0.126 0.769 O
0.017 0.403 0.780 O
0.087 0.420 0.375 O
0.088 0.890 0.874 O
0.103 0.449 0.195 O
0.104 0.430 0.015 O
0.105 0.866 0.692 O
0.106 0.904 0.511 O
0.172 0.327 0.602 O
0.179 0.917 0.107 O
0.195 0.184 0.117 O
0.208 0.039 0.620 O
0.279 0.157 0.766 O
0.281 0.990 0.278 O
0.298 0.443 0.700 O
0.299 0.656 0.024 O
0.299 0.671 0.203 O
0.323 0.440 0.877 O
0.326 0.441 0.521 O
0.348 0.651 0.378 O
0.358 0.321 0.105 O
0.358 0.744 0.603 O
0.407 0.034 0.917 O
0.418 0.858 0.776 O
0.435 0.574 0.776 O
0.437 0.136 0.264 O
0.438 0.403 0.277 O
0.440 0.994 0.418 O
0.467 0.180 0.612 O
0.477 0.742 0.110 O
0.568 0.278 0.776 O
0.575 0.996 0.766 O
0.580 0.557 0.264 O
0.583 0.843 0.271 O
0.610 0.337 0.118 O
0.614 0.482 0.613 O
0.614 0.767 0.623 O
0.636 0.047 0.112 O
0.716 0.136 0.266 O
0.718 0.575 0.777 O
0.749 0.328 0.966 O
0.752 0.188 0.617 O
0.756 0.749 0.100 O
0.757 0.915 0.601 O
0.779 0.331 0.470 O
0.779 0.470 0.108 O
0.842 0.579 0.278 O
0.844 0.999 0.776 O
0.852 0.894 0.374 O
0.854 0.654 0.516 O
0.888 0.865 0.196 O
0.891 0.661 0.694 O
0.894 0.875 0.019 O
0.895 0.645 0.876 O
0.909 0.171 0.108 O
0.915 0.323 0.622 O
0.996 0.280 0.262 O
```

Computed properties:
- mass density (kg/m³) = 2545
- DFT formation energy (eV per atom) = -2.615
- polymorph energy (0 for the lowest one) (eV per atom) = 0.006
- MP2020-corrected energy (eV/atom) = -7.584
- symmetry = P1, No. 1